# 1
This record from the Materials Project describes an optimized crystal structure of NdNi2As2. The functional is PBE-GGA.

Density ... 8.1 g/cm³
Total energy ... -59.6 eV/cell

Cell: 4.209 4.209 9.477 Å, 90.00 90.00 90.00°
Space group P4/nmm (No. 129, origin choice 2)
One atom of each set of equivalent atoms:
Nd 0.250 0.250 0.247 (multiplicity 2)
Ni 0.250 0.250 0.620 (multiplicity 2)
Ni 0.250 0.750 0.000 (multiplicity 2)
As 0.250 0.250 0.871 (multiplicity 2)
As 0.250 0.750 0.500 (multiplicity 2)

***

# 2
This record from the Materials Project describes an optimized crystal structure of Nd5Zr3Ni16As12. The functional is PBE-GGA.

Density ... 8.2 g/cm³
Total energy ... -227.7 eV/cell

Cell: 12.8374 12.8374 4.0023 Å, 90.00 90.00 120.00°
Space group P-62m (No. 189)
One atom of each set of equivalent atoms:
Nd 0.0000 0.1871 0.0000 (multiplicity 3)
Nd 0.3333 0.6667 0.5000 (multiplicity 2)
Zr 0.0000 0.5663 0.5000 (multiplicity 3)
Ni 0.0000 0.0000 0.5000 (multiplicity 1)
Ni 0.0000 0.7223 0.0000 (multiplicity 3)
Ni 0.1189 0.4827 0.0000 (multiplicity 6)
Ni 0.1834 0.8046 0.5000 (multiplicity 6)
As 0.0000 0.3596 0.5000 (multiplicity 3)
As 0.0000 0.8192 0.5000 (multiplicity 3)
As 0.1721 0.6958 0.0000 (multiplicity 6)

***

# 3
This record from the Materials Project describes an optimized crystal structure of Nd2As4O9. The functional is PBE-GGA.

Density ... 5.0 g/cm³
Total energy ... -206.7 eV/cell

Cell: 6.977 7.757 9.797 Å, 96.24 103.43 104.60°
Space group P-1 (No. 2)
One atom of each set of equivalent atoms:
Nd 0.221 0.031 0.405 (multiplicity 2)
Nd 0.252 0.557 0.380 (multiplicity 2)
As 0.178 0.271 0.063 (multiplicity 2)
As 0.246 0.420 0.712 (multiplicity 2)
As 0.305 0.851 0.704 (multiplicity 2)
As 0.320 0.740 0.080 (multiplicity 2)
O 0.005 0.724 0.328 (multiplicity 2)
O 0.103 0.820 0.994 (multiplicity 2)
O 0.125 0.959 0.625 (multiplicity 2)
O 0.133 0.604 0.645 (multiplicity 2)
O 0.186 0.514 0.115 (multiplicity 2)
O 0.225 0.248 0.244 (multiplicity 2)
O 0.342 0.371 0.560 (multiplicity 2)
O 0.369 0.837 0.259 (multiplicity 2)
O 0.408 0.833 0.551 (multiplicity 2)

***

# 4
This record from the Materials Project describes an optimized crystal structure of NdAsO2. The functional is PBE-GGA.

Density ... 6.4 g/cm³
Total energy ... -206.7 eV/cell

Cell: 6.610 6.610 12.003 Å, 90.00 90.00 90.00°
Space group I4_1/amd (No. 141, origin choice 2)
One atom of each set of equivalent atoms:
Nd 0.000 0.000 0.000 (multiplicity 8)
As 0.000 0.000 0.500 (multiplicity 8)
O 0.000 0.006 0.203 (multiplicity 16)

***

# 5
This record from the Materials Project describes an optimized crystal structure of NdZnAsO. The functional is PBE-GGA.

Density ... 6.6 g/cm³
Total energy ... -45.6 eV/cell

Cell: 4.066 4.066 9.110 Å, 90.00 90.00 90.00°
Space group P4/nmm (No. 129, origin choice 2)
One atom of each set of equivalent atoms:
Nd 0.250 0.250 0.130 (multiplicity 2)
Zn 0.250 0.750 0.500 (multiplicity 2)
As 0.250 0.250 0.675 (multiplicity 2)
O 0.250 0.750 0.000 (multiplicity 2)

***

# 6
This record from the Materials Project describes an optimized crystal structure of NdAs2Rh2. The functional is PBE-GGA.

Density ... 8.9 g/cm³
Total energy ... -66.9 eV/cell

Cell: 4.299 4.299 10.056 Å, 90.00 90.00 90.00°
Space group P4/nmm (No. 129, origin choice 2)
One atom of each set of equivalent atoms:
Nd 0.250 0.250 0.246 (multiplicity 2)
As 0.250 0.250 0.637 (multiplicity 2)
As 0.250 0.750 0.000 (multiplicity 2)
Rh 0.250 0.250 0.878 (multiplicity 2)
Rh 0.250 0.750 0.500 (multiplicity 2)

***

# 7
This record from the Materials Project describes an optimized crystal structure of NdAsSe. The functional is PBE-GGA.

Density ... 6.7 g/cm³
Total energy ... -138.2 eV/cell

Cell: 5.719 5.692 18.137 Å, 90.00 90.00 90.00°
Space group Cmce (No. 64)
One atom of each set of equivalent atoms:
Nd 0.000 0.244 0.140 (multiplicity 8)
As 0.220 0.000 0.500 (multiplicity 8)
Se 0.000 0.246 0.313 (multiplicity 8)

***

# 8
This record from the Materials Project describes an optimized crystal structure of NiAs2. The functional is PBE-GGA.

Density ... 6.9 g/cm³
Total energy ... -31.7 eV/cell

Cell: 4.755 5.828 3.600 Å, 90.00 90.00 90.00°
Space group Pnnm (No. 58)
One atom of each set of equivalent atoms:
Ni 0.000 0.000 0.000 (multiplicity 2)
As 0.207 0.369 0.000 (multiplicity 4)

***

# 9
This record from the Materials Project describes an optimized crystal structure of NiAs2. The functional is PBE-GGA.

Density ... 7.1 g/cm³
Total energy ... -63.3 eV/cell

Cell: 5.787 5.787 5.787 Å, 90.00 90.00 90.00°
Space group Pa-3 (No. 205)
One atom of each set of equivalent atoms:
Ni 0.000 0.000 0.000 (multiplicity 4)
As 0.123 0.623 0.877 (multiplicity 8)

***

# 10
This record from the Materials Project describes an optimized crystal structure of NiAs. The functional is PBE-GGA.

Density ... 7.6 g/cm³
Total energy ... -22.0 eV/cell

Cell: 3.6458 3.6458 5.0451 Å, 90.00 90.00 120.00°
Space group P6_3/mmc (No. 194)
One atom of each set of equivalent atoms:
Ni 0.0000 0.0000 0.0000 (multiplicity 2)
As 0.3333 0.6667 0.2500 (multiplicity 2)

***

# 11
This record from the Materials Project describes an optimized crystal structure of NiAs2. The functional is PBE-GGA.

Density ... 7.0 g/cm³
Total energy ... -127.0 eV/cell

Cell: 5.817 5.878 11.512 Å, 90.00 90.00 90.00°
Space group Pbca (No. 61)
One atom of each set of equivalent atoms:
Ni 0.004 0.175 0.128 (multiplicity 8)
As 0.122 0.553 0.182 (multiplicity 8)
As 0.136 0.191 0.932 (multiplicity 8)

***

# 12
This record from the Materials Project describes an optimized crystal structure of Ni3As. The functional is PBE-GGA.

Density ... 9.0 g/cm³
Total energy ... -45.0 eV/cell

Cell: 5.0940 5.0940 4.1096 Å, 90.00 90.00 120.00°
Space group P6_3/mmc (No. 194)
One atom of each set of equivalent atoms:
Ni 0.1671 0.3341 0.2500 (multiplicity 6)
As 0.3333 0.6667 0.7500 (multiplicity 2)

***

# 13
This record from the Materials Project describes an optimized crystal structure of NiAs. The functional is PBE-GGA.

Density ... 7.3 g/cm³
Total energy ... -20.7 eV/cell

Cell: 3.5190 3.5190 5.6840 Å, 90.00 90.00 120.00°
Space group P6_3/mmc (No. 194)
One atom of each set of equivalent atoms:
Ni 0.3333 0.6667 0.2500 (multiplicity 2)
As 0.0000 0.0000 0.0000 (multiplicity 2)

***

# 14
This record from the Materials Project describes an optimized crystal structure of Ni2As3Pd4. The functional is PBE-GGA.

Density ... 9.6 g/cm³
Total energy ... -98.4 eV/cell

Cell: 3.721 10.765 6.663 Å, 90.00 90.00 90.00°
Space group Amm2 (No. 38)
One atom of each set of equivalent atoms:
Ni 0.000 0.127 0.000 (multiplicity 4)
As 0.000 0.171 0.355 (multiplicity 4)
As 0.500 0.000 0.886 (multiplicity 2)
Pd 0.000 0.000 0.612 (multiplicity 2)
Pd 0.500 0.000 0.265 (multiplicity 2)
Pd 0.500 0.203 0.669 (multiplicity 4)

***

# 15
This record from the Materials Project describes an optimized crystal structure of PrNi2As2. The functional is PBE-GGA.

Density ... 7.9 g/cm³
Total energy ... -59.3 eV/cell

Cell: 4.116 4.116 10.103 Å, 90.00 90.00 90.00°
Space group I4/mmm (No. 139)
One atom of each set of equivalent atoms:
Pr 0.000 0.000 0.000 (multiplicity 2)
Ni 0.000 0.500 0.250 (multiplicity 4)
As 0.000 0.000 0.367 (multiplicity 4)

***

# 16
This record from the Materials Project describes an optimized crystal structure of PrNiAs. The functional is PBE-GGA.

Density ... 7.5 g/cm³
Total energy ... -18.3 eV/cell

Cell: 4.1607 4.1607 4.0803 Å, 90.00 90.00 120.00°
Space group P-6m2 (No. 187)
One atom of each set of equivalent atoms:
Pr 0.0000 0.0000 0.0000 (multiplicity 1)
Ni 0.6667 0.3333 0.5000 (multiplicity 1)
As 0.3333 0.6667 0.5000 (multiplicity 1)

***

# 17
This record from the Materials Project describes an optimized crystal structure of PrNi2As2. The functional is PBE-GGA.

Density ... 8.0 g/cm³
Total energy ... -59.6 eV/cell

Cell: 4.225 4.225 9.537 Å, 90.00 90.00 90.00°
Space group P4/nmm (No. 129, origin choice 2)
One atom of each set of equivalent atoms:
Pr 0.250 0.250 0.248 (multiplicity 2)
Ni 0.250 0.250 0.620 (multiplicity 2)
Ni 0.250 0.750 0.000 (multiplicity 2)
As 0.250 0.250 0.871 (multiplicity 2)
As 0.250 0.750 0.500 (multiplicity 2)

***

# 18
This record from the Materials Project describes an optimized crystal structure of PrNiAs. The functional is PBE-GGA.

Density ... 7.5 g/cm³
Total energy ... -73.1 eV/cell

Cell: 4.1470 4.1470 16.3226 Å, 90.00 90.00 120.00°
Space group P6_3/mmc (No. 194)
One atom of each set of equivalent atoms:
Pr 0.0000 0.0000 0.0000 (multiplicity 2)
Pr 0.0000 0.0000 0.2500 (multiplicity 2)
Ni 0.3333 0.6667 0.1259 (multiplicity 4)
As 0.3333 0.6667 0.6242 (multiplicity 4)

***

# 19
This record from the Materials Project describes an optimized crystal structure of Rb2NiAs2. The functional is PBE-GGA.

Density ... 4.1 g/cm³
Total energy ... -76.2 eV/cell

Cell: 7.078 14.281 6.042 Å, 90.00 90.00 90.00°
Space group Cmcm (No. 63)
One atom of each set of equivalent atoms:
Rb 0.000 0.088 0.250 (multiplicity 4)
Rb 0.000 0.293 0.750 (multiplicity 4)
Ni 0.000 0.500 0.000 (multiplicity 4)
As 0.173 0.404 0.250 (multiplicity 8)